# 1
Density functional theory data (PBE) for a relaxed structure of Ba4USe6.

Cell lengths 12.8007, 12.8007, 15.8761 Å; angles 90.00, 90.00, 120.00 degrees
Closest atoms and distances in Å follow each position.
Space group R-3c (No. 167, hexagonal axes)
Symmetry-distinct sites (fractional):
1 Ba 0.0000 0.0000 0.2500  6 Se 3.27
2 Ba 0.0000 0.3753 0.2500  8 Se 3.42-3.56
3 U 0.0000 0.0000 0.0000  6 Se 2.85
4 Se 0.0280 0.1936 0.3954  1 U 2.85

## Properties
energy	-359.87	eV/cell
DFT formation energy	-22.87	eV per formula unit
calculated volume	34.13	A^3/atom

# 2
Density functional theory data (PBE) for a relaxed structure of BaVSe3.

Cell lengths 7.1030, 12.1471, 5.9022 Å; angles 90.00, 90.00, 90.00 degrees
Closest atoms and distances in Å follow each position.
Space group Cmc2_1 (No. 36)
Symmetry-distinct sites (fractional):
1 Ba 0.0000 0.1639 0.0000  12 Se 3.47-3.67
2 V 0.0000 0.4742 0.7417  5 Se 2.34-2.58
3 Se 0.0000 0.3293 0.4803  1 V 2.34
4 Se 0.2467 0.4167 0.0119  2 V 2.47-2.58

## Properties
energy	-110.19	eV/cell
DFT formation energy	-7.47	eV per formula unit
M_tot	0.18	μB per atom
calculated volume	25.46	A^3/atom